Entry 1:
## RbPrH8S2O12 (PBE-GGA)

Data for a relaxed structure of RbPrH8S2O12.

Symmetry = P2_1/c, No. 14
E_form = -1.898 eV/atom
Total moment = 0.000 μB/atom
Energy = -551.5 eV for the cell shown
E (MP2020) = -6.088 eV/atom

extended XYZ file:
```
96
Lattice="19.206 0.000 0.000 0.000 6.767 0.000 0.000 1.122 8.740" Properties=species:S:1:pos:R:3 pbc="T T T"
O 17.033 1.658 0.568
O 1.125 5.359 4.027
O 8.008 3.028 5.115
O 2.288 0.357 1.754
H 9.422 6.074 8.569
H 12.216 2.754 5.662
O 19.165 4.858 1.437
Pr 2.376 4.640 1.903
S 11.034 5.773 2.433
Rb 4.045 2.027 7.848
O 11.776 2.219 4.938
O 11.518 6.758 7.325
O 10.728 1.968 0.343
O 0.018 1.195 2.118
O 2.173 6.231 8.172
H 10.879 2.036 5.320
Rb 5.558 1.467 3.478
O 0.041 3.031 7.303
O 9.585 1.755 6.488
O 9.644 5.419 5.808
O 14.082 4.121 3.064
O 16.918 7.532 6.986
O 9.562 2.470 2.933
O 7.674 2.929 7.480
H 10.301 5.923 6.360
S 5.398 4.324 0.900
Rb 15.161 5.861 0.892
H 8.092 0.239 1.444
H 18.508 5.362 1.990
S 17.775 6.334 6.803
O 4.479 3.207 1.306
O 18.081 2.529 4.713
S 4.205 4.885 5.270
H 0.181 5.513 4.199
O 14.727 4.682 7.435
H 0.532 3.330 8.111
O 19.188 6.694 6.623
H 8.041 4.595 0.522
O 5.746 5.300 8.205
Pr 7.227 5.201 6.273
H 1.562 5.156 4.893
O 17.291 6.197 2.955
H 1.511 0.800 5.814
H 16.593 2.193 1.291
H 0.698 2.526 6.751
O 3.857 4.739 3.835
O 4.972 6.154 5.483
O 11.891 6.971 2.616
H 17.930 1.475 0.950
O 7.315 0.918 6.125
H 17.644 2.733 3.848
O 2.954 4.861 6.073
Rb 13.648 6.422 5.262
H 2.010 1.908 4.824
O 4.631 5.593 1.113
H 1.276 6.413 7.791
O 16.252 3.028 2.668
H 10.135 5.120 4.999
Pr 16.830 3.249 6.838
O 14.575 2.296 7.628
O 1.929 2.368 3.110
H 17.695 7.089 2.927
O 1.595 2.467 0.745
S 13.808 3.565 7.841
O 11.532 4.960 1.260
S 1.431 1.554 1.937
O 17.277 5.521 5.630
H 8.905 1.966 2.381
O 17.611 5.422 7.996
O 8.478 5.920 8.398
H 11.114 7.650 7.297
H 2.613 5.696 7.449
O 15.349 3.150 4.905
H 18.674 4.559 0.629
O 13.460 2.589 0.535
H 8.327 5.853 3.421
S 8.172 2.115 6.308
O 7.430 5.670 3.802
O 1.915 1.692 5.785
Pr 11.979 2.688 2.467
O 6.649 4.300 1.702
H 11.613 6.542 8.287
H 17.196 5.981 3.917
H 6.990 5.135 3.079
H 7.593 1.347 0.454
H 9.784 1.815 0.171
O 7.688 1.131 1.415
O 11.198 4.861 3.625
O 9.622 6.133 2.253
O 12.557 3.589 7.038
H 19.025 2.376 4.541
O 14.234 1.735 3.257
O 5.124 3.767 5.676
H 9.071 2.769 3.741
H 11.165 3.294 8.218
S 15.001 3.004 3.470
```

***

Entry 2:
## Na3B3H4O8 (PBE-GGA)

Data for a relaxed structure of Na3B3H4O8.

Symmetry = Cc, No. 9
E_form = -2.182 eV/atom
Total moment = 0.000 μB/atom
Energy = -221.9 eV for the cell shown
E (MP2020) = -6.468 eV/atom

extended XYZ file:
```
36
Lattice="-5.071 5.562 -0.434 -4.678 0.057 -5.911 -5.378 -3.460 3.091" Properties=species:S:1:pos:R:3 pbc="T T T"
H -8.620 -0.912 0.774
O -12.064 1.457 -3.295
O -8.792 1.969 -4.655
O -8.576 0.056 0.996
B -8.745 2.935 -3.717
O -9.444 4.151 -3.882
H -8.080 -2.809 -0.244
O -10.324 -2.146 -2.284
H -9.747 -2.272 -1.479
Na -8.380 0.836 -1.259
H -5.568 1.402 0.680
O -7.991 2.755 -2.544
B -11.444 1.345 -2.032
O -11.627 2.280 -1.079
O -6.471 1.049 0.369
B -10.270 -0.780 -2.848
Na -4.515 4.450 -0.310
O -5.768 0.123 -2.204
B -7.216 0.393 1.519
B -4.354 -0.302 -2.440
O -3.754 -0.704 -1.182
Na -2.527 0.949 -0.119
H -8.799 0.363 -3.768
H -5.897 0.343 -1.244
O -6.559 -0.818 1.971
Na -6.885 -1.754 -3.216
O -3.648 0.896 -3.050
B -7.787 3.838 -1.519
Na -5.678 2.384 -2.986
O -8.865 -0.512 -3.288
O -10.624 0.229 -1.789
O -7.898 3.275 -0.157
H -6.307 4.859 -2.562
H -7.276 2.514 0.015
O -6.401 4.377 -1.691
Na -5.144 -1.794 0.419
```

***

Entry 3:
## Na2TaIn3P4S2O24 (PBE-GGA)

Data for a relaxed structure of Na2TaIn3P4S2O24.

Symmetry = P1, No. 1
E_form = -2.459 eV/atom
Total moment = 0.000 μB/atom
Energy = -730.4 eV for the cell shown
E (MP2020) = -7.221 eV/atom

extended XYZ file:
```
108
Lattice="-7.774 -2.826 3.139 7.112 0.103 5.244 -5.280 21.628 6.641" Properties=species:S:1:pos:R:3 pbc="T T T"
O 3.540 8.849 7.195
O -6.791 13.775 10.332
O 1.819 0.310 6.674
O -1.932 1.662 4.297
O 0.218 4.150 2.618
O -8.090 14.212 7.887
O -8.968 17.626 10.737
O -2.415 11.134 8.800
O 1.309 9.847 7.229
Na -5.302 21.573 6.643
O -7.651 11.270 8.880
O -7.819 18.602 8.480
Ta -7.898 19.303 10.370
O -3.018 15.638 8.564
O -0.641 12.158 6.852
O 0.249 6.521 8.479
O 2.157 4.830 7.094
P -2.496 19.757 8.182
P -7.014 2.635 6.326
O 1.761 14.984 9.020
O -1.245 2.141 8.021
In -0.538 10.299 8.004
In -5.399 8.482 7.037
O -5.270 10.206 5.700
In -3.763 2.106 5.155
O -3.535 19.646 7.086
O -1.644 9.328 6.428
O 4.314 3.878 6.956
O -2.108 8.361 4.333
Na -7.203 16.099 9.346
O -6.626 -0.512 3.332
P -0.239 7.349 9.740
O -1.465 20.234 11.887
O -5.347 6.643 8.110
O -6.211 12.384 6.355
O 0.805 19.271 11.774
O -2.147 15.092 11.037
O -0.526 4.289 6.984
P -3.445 -0.870 6.842
O -2.844 3.484 6.460
O -4.280 9.557 8.562
P -0.992 0.779 3.484
O -2.054 18.350 8.746
O -5.571 2.975 5.928
O -6.139 7.272 5.452
P -0.637 19.007 12.163
O -0.706 8.732 9.299
O -10.367 15.097 8.051
O -3.799 10.455 10.706
O -6.210 14.737 12.501
O -3.942 17.317 10.652
O -2.846 12.954 12.032
O -1.222 17.739 11.424
O -3.474 14.524 6.421
O -7.303 9.081 7.818
Ta 0.516 5.901 6.622
O -3.908 3.984 3.898
O -4.427 19.548 11.814
Ta -2.136 16.744 9.947
P -1.792 3.495 7.574
O -6.286 18.253 10.736
O -3.921 0.510 6.409
O -1.470 6.725 10.396
O -1.208 6.924 6.095
O -3.449 7.698 6.252
S -3.616 4.600 2.597
O -2.948 -1.693 5.560
Na -3.298 8.077 11.644
O -0.443 16.056 9.198
In 3.646 14.289 9.599
O -1.629 -0.689 3.336
O -4.838 1.144 3.530
In -2.462 4.896 10.634
S -2.107 8.092 5.775
S -5.675 11.566 5.255
Na -1.384 13.594 8.986
O -3.059 20.631 9.269
P -2.345 14.360 12.434
O -2.238 -0.828 7.798
In -8.522 0.336 4.106
O -9.488 9.969 7.891
O 3.097 1.321 4.344
O -3.107 5.954 2.847
O -5.233 17.480 12.881
O -5.352 14.788 8.144
O -4.599 16.805 6.994
O -0.808 1.281 2.037
O -2.385 4.372 8.667
S -5.280 -0.099 2.867
S -8.205 9.929 8.637
O 0.730 5.261 4.787
O 0.332 11.613 9.496
O 0.320 0.703 4.263
In 2.058 -0.486 4.610
S -3.795 10.782 9.255
O 1.576 7.512 6.249
Na 1.262 2.611 5.544
In -6.446 13.036 8.414
P -4.912 18.146 11.562
P -4.146 15.446 7.462
P 1.045 16.314 8.699
O -4.616 11.967 8.955
P 2.231 8.950 6.413
O -7.858 3.880 6.081
Na -4.611 5.295 6.107
In -4.497 18.409 5.658
O -4.381 -1.264 3.175
O -4.461 12.162 4.637
```

***

Entry 4:
## BiPO4 (PBE-GGA)

Data for a relaxed structure of BiPO4.

Symmetry = P2_1/c, No. 14
E_form = -2.398 eV/atom
Energy = -162.9 eV for the cell shown
E (MP2020) = -7.247 eV/atom

extended XYZ file:
```
24
Lattice="-0.711 5.454 -4.378 -1.252 -4.117 -4.925 -7.426 -2.771 -2.245" Properties=species:S:1:pos:R:3 pbc="T T T"
P -6.671 -0.190 -8.632
O -3.225 0.228 -3.021
O -6.811 -2.131 -3.362
O -7.645 0.215 -7.492
P -6.560 -1.650 -4.824
O -1.529 0.506 -5.875
O -3.164 -1.289 -6.786
O -3.933 -2.208 -3.222
O -6.166 -1.662 -8.526
O -1.745 -1.648 -4.055
Bi -6.163 1.868 -6.344
O -5.526 -2.515 -5.594
P -2.719 -1.243 -2.916
O -5.458 0.775 -8.325
O -2.579 0.697 -8.186
O -6.226 -0.144 -4.761
Bi -7.092 -3.521 -7.262
Bi -2.298 2.088 -4.285
O -3.864 1.082 -5.954
O -2.163 -1.437 -1.489
P -2.830 0.216 -6.724
Bi -3.227 -3.302 -5.204
O -7.227 0.003 -10.058
O -7.861 -1.940 -5.672
```